DFT (GGA-PBE) results for an optimized crystal structure of CaAl2Si6O21.

Lattice parameters (Å, degrees): 17.128 7.399 7.646 72.28 90.00 90.00
Positions (direct):
Ca 0.765 0.180 0.303
Ca 0.265 0.820 0.697
Al 0.636 0.595 0.250
Al 0.136 0.405 0.750
Al 0.900 0.258 0.931
Al 0.400 0.742 0.069
Si 0.976 0.640 0.655
Si 0.476 0.360 0.345
Si 0.629 0.624 0.666
Si 0.129 0.376 0.334
Si 0.761 0.530 0.970
Si 0.261 0.470 0.030
Si 0.561 0.875 0.872
Si 0.061 0.125 0.128
Si 0.893 0.831 0.904
Si 0.393 0.169 0.096
Si 0.504 0.287 0.754
Si 0.004 0.713 0.246
O 0.571 0.398 0.310
O 0.071 0.602 0.690
O 0.655 0.656 0.453
O 0.155 0.344 0.547
O 0.719 0.496 0.171
O 0.219 0.504 0.829
O 0.604 0.782 0.067
O 0.104 0.218 0.933
O 0.945 0.808 0.735
O 0.445 0.192 0.265
O 0.932 0.442 0.744
O 0.432 0.558 0.256
O 0.959 0.717 0.433
O 0.459 0.283 0.567
O 0.700 0.527 0.807
O 0.200 0.473 0.193
O 0.605 0.824 0.702
O 0.105 0.176 0.298
O 0.554 0.481 0.716
O 0.054 0.519 0.284
O 0.808 0.728 0.903
O 0.308 0.272 0.097
O 0.815 0.337 0.017
O 0.315 0.663 0.983
O 0.970 0.203 0.111
O 0.470 0.797 0.889
O 0.563 0.106 0.824
O 0.063 0.894 0.176
O 0.878 0.051 0.881
O 0.378 0.949 0.119
O 0.937 0.715 0.096
O 0.437 0.285 0.904
O 0.746 0.233 0.633
O 0.246 0.767 0.367
O 0.773 0.850 0.322
O 0.273 0.150 0.678
O 0.794 0.362 0.565
O 0.294 0.638 0.435
O 0.625 0.121 0.333
O 0.125 0.879 0.667
O 0.904 0.090 0.368
O 0.404 0.910 0.632

Summary:
DFT total energy: -6.98 eV/atom
density: 2.154 g/cm3
E_form: -2.225 eV per atom
space group: P2_1, No. 4